Entry 1:
Computed, not measured: TiNb3Al2C2 after structural relaxation at the PBE-GGA level of DFT.

Calculated values
ΔE_f ... -0.57 eV/atom
Space group ... P3m1, No. 156

Unit cell a=3.118 b=3.118 c=13.861 alpha=90.00 beta=90.00 gamma=120.00
Positions (direct):
Ti (0.000, 0.000, 0.000)
Nb (0.000, 0.000, 0.675)
Nb (0.667, 0.333, 0.173)
Nb (0.667, 0.333, 0.496)
Al (0.000, 0.000, 0.335)
Al (0.667, 0.333, 0.837)
C (0.333, 0.667, 0.081)
C (0.333, 0.667, 0.585)

=====

Entry 2:
Computed, not measured: Al3Ni9C after structural relaxation at the PBE-GGA level of DFT.

Calculated values
ΔE_f ... -0.36 eV/atom
Space group ... P4/mmm, No. 123

Unit cell a=3.695 b=3.695 c=10.543 alpha=90.00 beta=90.00 gamma=90.00
Positions (direct):
Al (0.000, 0.000, 0.000)
Al (0.000, 0.000, 0.314)
Al (0.000, 0.000, 0.686)
Ni (0.000, 0.500, 0.160)
Ni (0.000, 0.500, 0.500)
Ni (0.000, 0.500, 0.840)
Ni (0.500, 0.000, 0.160)
Ni (0.500, 0.000, 0.500)
Ni (0.500, 0.000, 0.840)
Ni (0.500, 0.500, 0.000)
Ni (0.500, 0.500, 0.324)
Ni (0.500, 0.500, 0.676)
C (0.500, 0.500, 0.500)